The following is a PBE calculation of U2H12C2S3N2O16 after structural relaxation, from Materials Project.

Formation enthalpy at 0 K (meV per atom): -1620.9
Volume (Å³ per atom): 11.72

Cell: 8.7635 9.9600 9.9860 Å, 89.80 84.09 89.84°
Space group P1 (No. 1)
Inequivalent atoms, fractional coordinates:
U 0.0000 0.0000 0.0000 x1
U 0.0010 0.6182 0.3930 x1
U 0.7577 0.5091 0.9115 x1
U 0.7606 0.1161 0.5268 x1
H 0.1239 0.3197 0.7394 x1
H 0.2047 0.7026 0.6666 x1
H 0.2207 0.2561 0.1406 x1
H 0.2290 0.1537 0.5653 x1
H 0.2547 0.3925 0.6107 x1
H 0.2669 0.1172 0.7231 x1
H 0.2956 0.3954 0.0690 x1
H 0.3139 0.6336 0.7753 x1
H 0.3181 0.3504 0.7715 x1
H 0.3301 0.4041 0.3073 x1
H 0.3433 0.8761 0.7794 x1
H 0.3440 0.8590 0.1301 x1
H 0.3724 0.6294 0.6088 x1
H 0.3924 0.2493 0.0514 x1
H 0.3981 0.8729 0.6007 x1
H 0.4036 0.1819 0.6115 x1
H 0.4160 0.2403 0.2938 x1
H 0.4541 0.7066 0.2959 x1
H 0.4685 0.8831 0.3303 x1
H 0.4789 0.7505 0.0632 x1
H 0.5123 0.3808 0.2113 x1
H 0.5189 0.7975 0.7132 x1
H 0.5193 0.9142 0.0789 x1
H 0.6310 0.7929 0.2538 x1
C 0.2431 0.3218 0.6952 x1
C 0.4000 0.8179 0.6957 x1
C 0.4007 0.3355 0.2417 x1
C 0.5062 0.8019 0.2611 x1
S 0.1037 0.9703 0.3440 x1
S 0.1131 0.6481 0.0326 x1
S 0.6475 0.4690 0.5710 x1
S 0.6497 0.1551 0.8889 x1
S 0.8835 0.3102 0.2080 x1
S 0.8847 0.8117 0.7096 x1
N 0.2884 0.1851 0.6449 x1
N 0.3176 0.6877 0.6859 x1
N 0.3225 0.3077 0.1180 x1
N 0.4589 0.8337 0.1246 x1
O 0.1318 0.8302 0.3901 x1
O 0.1391 0.9734 0.1928 x1
O 0.1419 0.7894 0.9837 x1
O 0.1438 0.6411 0.1772 x1
O 0.1671 0.5419 0.4557 x1
O 0.1682 0.0803 0.9127 x1
O 0.2033 0.0646 0.4043 x1
O 0.2181 0.5564 0.9532 x1
O 0.5380 0.5404 0.4963 x1
O 0.5439 0.0865 0.9900 x1
O 0.5864 0.0494 0.4702 x1
O 0.5904 0.5839 0.0061 x1
O 0.6204 0.3031 0.8999 x1
O 0.6216 0.3202 0.5654 x1
O 0.6229 0.1102 0.7506 x1
O 0.6257 0.5121 0.7157 x1
O 0.7826 0.2422 0.3155 x1
O 0.7833 0.7327 0.8090 x1
O 0.7857 0.3779 0.1153 x1
O 0.7893 0.8922 0.6247 x1
O 0.8114 0.4940 0.5184 x1
O 0.8149 0.1297 0.9077 x1
O 0.8377 0.9140 0.0848 x1
O 0.8430 0.7018 0.3275 x1
O 0.9173 0.4347 0.8116 x1
O 0.9263 0.1856 0.5927 x1
O 0.9368 0.0022 0.3756 x1
O 0.9482 0.6159 0.0233 x1
O 0.9845 0.4089 0.2671 x1
O 0.9839 0.9025 0.7815 x1
O 0.9865 0.2101 0.1316 x1
O 0.9869 0.7189 0.6238 x1

=====

The following is a PBE calculation of CsHo3 after structural relaxation, from Materials Project.

Formation enthalpy at 0 K (meV per atom): 730.4
Volume (Å³ per atom): 37.21

Cell: 5.2994 5.2994 5.2994 Å, 90.00 90.00 90.00°
Space group Pm-3m (No. 221)
Inequivalent atoms, fractional coordinates:
Cs 0.0000 0.0000 0.0000 x1
Ho 0.0000 0.5000 0.5000 x3

=====

The following is a PBE calculation of Li2Cu2F5 after structural relaxation, from Materials Project.

Energy above the lowest structure with this stoichiometry (meV/atom): 3
Formation enthalpy at 0 K (meV per atom): -2263.8
Volume (Å³ per atom): 11.65

Cell: 3.0063 6.9359 10.1498 Å, 93.19 90.03 97.01°
Space group P-1 (No. 2)
Inequivalent atoms, fractional coordinates:
Li 0.1919 0.1960 0.3155 x2
Li 0.2608 0.5868 0.8907 x2
Cu 0.2532 0.0958 0.8864 x2
Cu 0.2617 0.6517 0.3846 x2
F 0.0453 0.8663 0.2925 x2
F 0.2090 0.3336 0.9754 x2
F 0.2645 0.4763 0.2377 x2
F 0.2887 0.7317 0.5620 x2
F 0.3321 0.8488 0.8199 x2

=====

The following is a PBE calculation of Li8NO3 after structural relaxation, from Materials Project.

Formation enthalpy at 0 K (meV per atom): -1519.3
Volume (Å³ per atom): 8.71

Cell: 4.7103 4.7103 4.7103 Å, 90.00 90.00 90.00°
Space group Pm-3m (No. 221)
Inequivalent atoms, fractional coordinates:
Li 0.2475 0.2475 0.2475 x8
N 0.5000 0.5000 0.5000 x1
O 0.0000 0.0000 0.5000 x3

=====

The following is a PBE calculation of CaAl2Si2O10 after structural relaxation, from Materials Project.

Energy above the lowest structure with this stoichiometry (meV/atom): 0
Formation enthalpy at 0 K (meV per atom): -2708.4
Volume (Å³ per atom): 11.23

Cell: 5.9161 8.7878 12.9566 Å, 90.00 90.00 90.00°
Space group Cmcm (No. 63)
Inequivalent atoms, fractional coordinates:
Ca 0.0000 0.1649 0.2500 x4
Al 0.2500 0.2500 0.0000 x8
Si 0.0000 0.4779 0.6314 x8
O 0.0000 0.1155 0.7500 x4
O 0.0000 0.1359 0.5530 x8
O 0.0000 0.3632 0.0637 x8
O 0.0000 0.4508 0.2500 x4
O 0.2271 0.3739 0.6178 x16

=====

The following is a PBE calculation of RbMg6CO8 after structural relaxation, from Materials Project.

Energy above the lowest structure with this stoichiometry (meV/atom): 0
Formation enthalpy at 0 K (meV per atom): -1885.3
Volume (Å³ per atom): 10.88

Cell: 4.4990 4.4990 8.6002 Å, 90.00 90.00 90.00°
Space group P4/mmm (No. 123)
Inequivalent atoms, fractional coordinates:
Rb 0.0000 0.0000 0.0000 x1
Mg 0.0000 0.5000 0.2642 x4
Mg 0.5000 0.5000 0.0000 x1
Mg 0.5000 0.5000 0.5000 x1
C 0.0000 0.0000 0.5000 x1
O 0.0000 0.0000 0.2903 x2
O 0.0000 0.5000 0.0000 x2
O 0.0000 0.5000 0.5000 x2
O 0.5000 0.5000 0.2517 x2

=====

The following is a PBE calculation of Co19Te34 after structural relaxation, from Materials Project.

Formation enthalpy at 0 K (meV per atom): -464.7
Volume (Å³ per atom): 21.98

Cell: 8.5214 9.3818 14.8259 Å, 89.99 86.47 80.02°
Space group P-1 (No. 2)
Inequivalent atoms, fractional coordinates:
Co 0.0000 0.0000 0.0000 x1
Co 0.0586 0.3234 0.7642 x2
Co 0.0587 0.8229 0.7643 x2
Co 0.1195 0.6491 0.5297 x2
Co 0.1794 0.4668 0.2949 x2
Co 0.2378 0.2979 0.0577 x2
Co 0.2968 0.1144 0.8245 x2
Co 0.3544 0.9432 0.5880 x2
Co 0.4110 0.7659 0.3549 x2
Co 0.4710 0.5870 0.1157 x2
Te 0.0077 0.4103 0.1678 x2
Te 0.0510 0.4131 0.5962 x2
Te 0.0667 0.2339 0.9337 x2
Te 0.1123 0.2307 0.3626 x2
Te 0.1251 0.0566 0.6973 x2
Te 0.1706 0.0583 0.1261 x2
Te 0.1827 0.8832 0.4619 x2
Te 0.2293 0.8790 0.8915 x2
Te 0.2433 0.7052 0.2269 x2
Te 0.2883 0.7052 0.6556 x2
Te 0.2991 0.5313 0.9911 x2
Te 0.3497 0.5287 0.4219 x2
Te 0.3610 0.3522 0.7565 x2
Te 0.4088 0.3505 0.1843 x2
Te 0.4176 0.1771 0.5208 x2
Te 0.4674 0.1757 0.9512 x2
Te 0.4732 0.0020 0.2863 x2

=====

The following is a PBE calculation of TbZn12 after structural relaxation, from Materials Project.

Formation enthalpy at 0 K (meV per atom): -188.1
Volume (Å³ per atom): 15.92

Cell: 8.7507 8.7507 5.4041 Å, 90.00 90.00 90.00°
Space group I4/mmm (No. 139)
Inequivalent atoms, fractional coordinates:
Tb 0.0000 0.0000 0.0000 x2
Zn 0.0000 0.2181 0.5000 x8
Zn 0.0000 0.3526 0.0000 x8
Zn 0.2500 0.2500 0.2500 x8